The following is a PBE with a Hubbard U calculation of an optimized crystal structure of PrW2O8, from the Materials Project.

Lattice parameters (Å, degrees): 7.4295 7.4981 7.6035 113.43 116.10 91.50
With the nearest neighbours (Å) after each atom.
Positions (direct):
O (0.0759, 0.3240, 0.1120)  1 W 1.81
O (0.4798, 0.5250, 0.2526)  1 W 1.86
O (0.5161, 0.1617, 0.9983)  3 W 2.08-2.22
O (0.3995, 0.1791, 0.2738)  1 W 1.91
O (0.1686, 0.6472, 0.5503)  1 W 1.84
O (0.5202, 0.4750, 0.7474)  1 W 1.86
O (0.2898, 0.0025, 0.5236)  1 W 1.79
O (0.8314, 0.3528, 0.4497)  1 W 1.84
O (0.1972, 0.3585, 0.8051)  1 W 1.83
O (0.7102, 0.9975, 0.4764)  1 W 1.79
O (0.8546, 0.0039, 0.1921)  2 W 2.03-2.05
O (0.6005, 0.8209, 0.7262)  1 W 1.91
O (0.1454, 0.9961, 0.8079)  2 W 2.03-2.05
O (0.8028, 0.6415, 0.1949)  1 W 1.83
O (0.4839, 0.8383, 0.0017)  3 W 2.08-2.22
O (0.9241, 0.6760, 0.8880)  1 W 1.81
W (0.6486, 0.1050, 0.2910)  3 O 1.79-1.91
W (0.7269, 0.7064, 0.9685)  3 O 1.81-1.86
W (0.3514, 0.8950, 0.7090)  3 O 1.79-1.91
W (0.2731, 0.2936, 0.0315)  3 O 1.81-1.86
Pr (0.8274, 0.7126, 0.5489)  8 O 2.43-2.59
Pr (0.1726, 0.2874, 0.4511)  8 O 2.43-2.59

Summary:
For the calculated volume, the calculation gives 15.38 Å³/atom. The raw total energy is -7.5130 eV/atom. For the total moment, the calculation gives 1.00 μB/f.u. The space group is P-1, No. 2. The value obtained for the calculated formation energy is -2.430 eV per atom.